# 1
Material: BaTmFe4O7
Method: DFT, PBE+U
State: optimized geometry

```
BaTmFe4O7
1.0
-3.242 3.242 4.458
3.242 -3.242 4.458
3.242 3.242 -4.458
Ba Tm Fe O
1 1 4 7
Cartesian
0.000 0.000 0.000
0.000 3.242 2.229
1.558 3.087 -1.178
3.397 1.558 1.178
1.684 0.155 3.280
-0.155 1.684 5.637
3.242 0.000 0.014
4.561 1.815 -2.403
-1.319 1.427 2.055
3.242 0.000 4.444
0.000 0.000 4.458
1.815 1.923 2.403
1.427 1.319 6.861
```

Summary:
Magnetization ... 17.00 μB per formula unit
Uncorrected energy ... -6.8915 eV per atom

# 2
Material: Fe4Bi2O9
Method: DFT, PBE+U
State: optimized geometry

```
Fe4Bi2O9
1.0
8.071 0.000 0.000
0.000 8.657 0.000
0.000 0.000 6.100
Fe Bi O
8 4 18
Cartesian
0.000 0.000 1.477
0.000 0.000 4.623
1.182 2.896 0.000
2.854 7.225 0.000
4.036 4.329 1.477
4.036 4.329 4.623
5.218 1.432 0.000
6.889 5.761 0.000
1.461 5.892 3.050
2.574 1.563 3.050
5.497 7.094 3.050
6.610 2.765 3.050
0.000 4.329 0.000
1.011 1.795 1.573
1.011 1.795 4.527
1.081 7.856 0.000
1.249 8.105 3.050
2.787 3.776 3.050
2.955 3.528 0.000
3.025 6.124 1.573
3.025 6.124 4.527
4.036 0.000 0.000
5.046 2.533 1.573
5.046 2.533 4.527
5.117 5.129 0.000
5.285 4.881 3.050
6.822 0.552 3.050
6.990 0.801 0.000
7.061 6.862 1.573
7.061 6.862 4.527
```

Summary:
Energy above the lowest structure with this stoichiometry ... 0.0 meV per atom
Uncorrected energy ... -6.4060 eV per atom

# 3
Material: NaV5MoO15
Method: DFT, PBE+U
State: optimized geometry

```
NaV5MoO15
1.0
7.971 -1.872 0.000
7.971 1.872 0.000
-3.374 0.000 9.723
Na V Mo O
1 5 1 15
Cartesian
0.000 0.000 0.000
1.926 0.000 7.845
3.753 0.000 4.773
9.715 0.000 2.864
8.134 0.000 9.569
13.111 0.000 2.627
0.171 0.000 4.939
-1.283 0.000 3.904
-0.443 0.000 6.551
1.829 0.000 3.473
0.654 0.000 9.360
2.152 0.000 6.045
4.810 0.000 3.197
3.439 0.000 8.452
4.834 0.000 5.968
8.549 0.000 1.692
6.595 0.000 9.058
8.589 0.000 4.629
11.296 0.000 1.645
9.411 0.000 8.012
11.498 0.000 4.357
13.898 0.000 1.175
```

Summary:
Magnetization ... 2.00 μB per formula unit
Uncorrected energy ... -7.2641 eV per atom

# 4
Material: FePHC4O3F3
Method: DFT, PBE+U
State: optimized geometry

```
FePHC4O3F3
1.0
8.308 0.000 0.000
2.998 7.925 0.000
2.107 1.854 12.908
Fe P H C O F
4 4 4 16 12 12
Cartesian
1.702 1.108 2.519
3.137 2.410 4.431
10.275 7.369 8.477
11.711 8.671 10.389
2.510 3.167 2.450
3.824 0.776 3.087
9.589 9.003 9.821
10.903 6.612 10.458
3.466 5.503 10.572
8.543 8.807 10.750
4.870 0.972 2.158
9.947 4.276 2.336
1.948 3.546 5.149
4.133 7.564 3.380
5.042 7.955 10.275
1.700 0.565 0.833
2.987 1.329 5.858
3.679 3.763 1.076
4.668 3.245 4.818
5.928 2.737 9.200
7.485 7.042 3.708
8.745 6.535 8.090
9.734 6.016 11.832
10.426 8.450 7.050
11.712 9.214 12.075
8.371 1.824 2.633
9.280 2.215 9.528
11.465 6.233 7.759
3.717 6.643 3.942
3.934 5.510 7.300
3.805 2.068 12.637
5.846 8.602 6.802
6.104 7.503 10.194
5.658 3.778 5.075
7.754 6.001 7.833
7.309 2.276 2.714
7.567 1.177 6.106
9.608 7.711 0.271
9.479 4.269 5.608
9.696 3.136 8.966
3.626 5.124 0.938
5.450 5.087 12.768
4.622 2.622 8.800
5.947 3.694 10.176
4.974 3.428 1.319
6.770 6.571 4.762
6.643 3.208 8.146
8.439 6.351 11.589
7.466 6.085 2.732
8.791 7.157 4.108
7.963 4.692 0.140
9.787 4.655 11.970
```

Summary:
Magnetization ... 0.00 μB per formula unit
Uncorrected energy ... -6.2185 eV per atom

# 5
Material: Li4Mn3OF8
Method: DFT, PBE+U
State: optimized geometry

```
Li4Mn3OF8
1.0
5.195 0.000 0.000
0.194 10.506 0.000
0.078 1.454 10.483
Li Mn O F
12 9 3 24
Cartesian
0.000 0.000 0.000
5.246 2.350 2.056
4.708 7.149 6.211
4.703 5.081 8.621
4.885 6.047 3.504
5.017 9.994 7.010
4.937 4.907 0.769
4.947 2.300 7.740
5.089 3.375 4.940
5.225 8.941 9.790
5.361 10.874 4.264
5.330 8.491 2.178
2.209 4.833 6.290
2.387 7.524 8.380
2.447 3.845 10.096
2.464 6.977 1.045
2.419 3.889 3.163
2.613 10.652 9.118
2.483 1.611 5.499
2.693 8.897 4.766
2.788 10.702 2.255
3.232 3.515 5.006
3.374 8.836 9.699
3.507 10.701 4.200
0.844 8.788 0.432
0.740 2.072 3.783
0.860 4.922 4.455
1.025 9.306 8.240
1.003 7.388 10.192
0.914 3.038 6.478
0.974 6.872 2.470
1.120 9.602 3.266
1.161 10.559 5.830
1.037 3.851 1.592
1.054 1.703 8.924
1.044 1.208 0.980
1.359 6.947 6.493
1.374 4.979 8.597
3.473 8.603 2.131
3.335 0.102 0.136
3.390 2.273 1.920
3.689 8.709 6.678
3.639 5.421 2.164
3.809 11.425 7.390
3.721 6.027 7.340
3.746 5.526 10.181
3.786 7.101 4.571
3.764 3.457 8.515
```

Summary:
Energy above the lowest structure with this stoichiometry ... 20.5 meV per atom
Uncorrected energy ... -5.7246 eV per atom

# 6
Material: LiVF4
Method: DFT, PBE+U
State: optimized geometry

```
LiVF4
1.0
7.047 0.000 0.000
-1.775 8.176 0.000
-2.800 -1.721 9.267
Li V F
6 6 24
Cartesian
-0.652 -0.405 2.436
-0.747 4.258 3.299
-0.213 4.135 7.944
2.686 2.320 1.323
3.220 2.198 5.968
3.124 6.860 6.831
-3.822 3.995 9.187
-0.465 1.440 5.385
1.150 6.832 1.967
1.323 -0.377 7.301
2.938 5.015 3.882
6.295 2.461 0.080
-2.203 5.062 4.020
-1.024 4.113 1.248
-3.553 5.413 7.985
-0.883 6.836 1.581
-0.146 0.031 4.122
1.122 2.441 0.268
-0.568 -0.132 6.868
-0.128 2.741 4.035
-0.475 2.729 6.826
1.081 5.915 0.264
0.851 5.466 3.266
-0.381 5.955 7.315
2.853 0.500 1.953
1.621 0.989 6.001
1.391 0.540 9.004
2.948 3.726 2.442
2.600 3.714 5.232
3.040 6.587 2.399
1.351 4.014 8.999
2.618 6.424 5.145
3.356 -0.381 7.686
6.025 1.042 1.282
3.496 2.342 8.019
4.675 1.393 5.247
```

Summary:
Energy above the lowest structure with this stoichiometry ... 97.2 meV per atom
Magnetization ... 2.00 μB per formula unit
Uncorrected energy ... -5.6387 eV per atom

# 7
Material: Li9Mn2Co5O16
Method: DFT, PBE+U
State: optimized geometry

```
Li9Mn2Co5O16
1.0
2.972 0.000 0.000
-0.418 5.941 0.000
-0.277 -0.204 16.172
Li Mn Co O
9 2 5 16
Cartesian
0.000 0.000 0.000
-0.274 2.858 4.209
-0.409 2.805 12.154
-0.129 -0.074 8.054
1.053 4.432 6.187
0.936 4.265 14.175
1.221 1.340 10.133
1.362 1.432 2.040
1.322 1.334 6.180
1.121 4.416 2.033
2.888 -0.020 4.171
-0.617 5.767 12.160
-0.198 2.935 0.015
-0.317 2.808 8.059
1.144 1.287 14.170
1.004 4.323 10.136
-0.313 2.906 6.317
-0.497 5.840 5.982
-0.162 2.964 1.976
-0.160 -0.122 14.083
-0.295 2.918 10.000
1.009 4.557 4.032
1.101 4.357 0.073
1.105 1.246 12.255
0.974 4.267 8.241
1.393 1.250 4.100
1.188 1.333 16.099
1.055 4.346 12.067
1.334 1.492 8.157
2.420 5.848 2.144
2.452 2.693 14.275
2.320 5.721 10.255
```

Summary:
Energy above the lowest structure with this stoichiometry ... 62.5 meV per atom
Magnetization ... 12.53 μB per formula unit
Uncorrected energy ... -5.7921 eV per atom

# 8
Material: Ba8Co7O21
Method: DFT, PBE+U
State: optimized geometry

```
Ba8Co7O21
1.0
0.000 8.815 10.073
5.828 0.000 10.073
5.828 8.815 0.000
Ba Co O
16 14 42
Cartesian
5.828 8.815 0.147
5.755 6.654 3.487
8.734 6.763 8.561
6.034 4.475 10.073
2.914 4.407 5.184
5.901 10.975 3.487
8.815 11.061 8.524
5.828 8.815 10.455
8.536 8.882 15.110
5.820 6.459 13.597
2.841 6.568 8.524
5.622 13.155 10.073
8.742 13.222 15.491
2.923 10.866 8.561
5.837 11.171 13.597
3.120 8.747 15.110
2.920 3.185 1.824
5.833 3.679 6.842
2.909 5.629 1.824
5.815 6.182 6.842
8.737 8.087 11.879
5.828 8.815 6.866
8.756 10.589 11.879
5.841 11.448 6.842
8.742 13.222 11.903
5.823 13.950 6.842
2.901 7.040 11.879
5.823 7.593 16.934
2.919 9.543 11.879
5.834 10.037 16.934
4.189 4.372 2.558
2.914 4.407 0.355
2.928 2.003 3.272
1.663 2.023 1.088
5.810 4.851 5.367
4.577 2.384 6.125
7.095 4.923 7.575
5.842 2.405 8.309
4.165 6.791 1.088
7.090 7.339 6.121
1.639 4.442 2.558
4.551 4.849 7.568
7.121 10.281 6.117
8.761 9.259 10.403
10.020 9.256 12.605
2.900 6.812 3.272
7.475 6.832 11.166
5.824 7.332 8.311
4.535 7.348 6.117
10.036 11.756 11.153
5.846 12.778 5.367
7.106 12.780 7.568
4.566 10.290 6.121
5.832 10.297 8.311
7.475 9.330 12.612
4.176 5.883 11.157
1.251 6.431 6.125
7.480 11.746 11.157
8.746 11.740 13.347
4.561 12.706 7.575
4.181 8.299 12.612
2.896 8.371 10.403
8.738 14.704 13.347
7.449 14.688 11.153
5.828 8.815 15.465
7.104 8.850 17.668
10.389 15.205 16.203
5.814 15.225 8.309
4.181 10.798 11.166
7.095 11.239 16.203
7.465 17.188 12.605
4.553 8.780 17.668
```

Summary:
Magnetization ... 1.00 μB per formula unit
Uncorrected energy ... -6.0701 eV per atom

# 9
Material: Li2V3SnO8
Method: DFT, PBE+U
State: optimized geometry

```
Li2V3SnO8
1.0
2.934 -5.091 0.000
2.934 5.091 0.000
-0.019 0.000 9.915
Li V Sn O
4 6 2 16
Cartesian
2.925 5.084 4.958
2.952 1.696 8.953
2.961 -1.696 3.996
2.934 -5.084 0.000
1.570 0.895 2.196
2.950 3.295 2.197
1.560 -0.895 7.154
4.337 0.899 2.216
2.941 -3.295 7.154
4.328 -0.899 7.173
2.942 1.700 4.981
2.951 -1.700 0.023
0.013 0.002 3.086
0.003 -0.002 8.043
1.627 2.458 3.439
1.413 0.817 6.063
2.944 3.462 6.063
1.422 -0.817 1.106
2.966 1.690 1.040
2.949 0.172 3.455
4.271 2.467 3.449
1.618 -2.458 8.397
2.940 -0.172 8.412
2.957 -1.690 5.997
4.461 0.821 6.077
4.470 -0.821 1.119
2.953 -3.462 1.106
4.261 -2.467 8.407
```

Summary:
Energy above the lowest structure with this stoichiometry ... 44.7 meV per atom
Magnetization ... 5.00 μB per formula unit
Uncorrected energy ... -6.9607 eV per atom

# 10
Material: Fe4O3F5
Method: DFT, PBE+U
State: optimized geometry

```
Fe4O3F5
1.0
6.190 0.000 0.000
0.000 3.518 3.279
0.000 -3.518 3.279
Fe O F
4 3 5
Cartesian
0.000 0.000 0.000
1.474 0.000 3.273
3.095 0.000 0.223
4.716 0.000 3.273
0.000 0.000 1.975
0.000 0.000 4.626
3.095 0.000 2.229
1.496 -2.120 3.339
1.496 2.120 3.339
3.095 0.000 4.702
4.694 -2.120 3.339
4.694 2.120 3.339
```

Summary:
Energy above the lowest structure with this stoichiometry ... 43.3 meV per atom
Magnetization ... 19.01 μB per formula unit
Uncorrected energy ... -5.8938 eV per atom
Maximum piezoelectric response ... 0.7 C/m²

Number 1: energy of formation -2193 meV/atom. Number 2: energy of formation -1674 meV/atom. Number 3: energy of formation -2273 meV/atom. Number 4: energy of formation -905 meV/atom. Number 5: energy of formation -2850 meV/atom. Number 6: energy of formation -3121 meV/atom. Number 7: energy of formation -1802 meV/atom. Number 8: energy of formation -2094 meV/atom. Number 9: energy of formation -2385 meV/atom. Number 10: energy of formation -2152 meV/atom.